Crystalline K4P4H7Ru2O18 at its relaxed geometry. Source: the Materials Project database, functional PBE-GGA.

a = 9.2304 Å, b = 9.4132 Å, c = 13.8794 Å
α = 90.00°, β = 131.08°, γ = 90.00°
Fractional coordinates of all 70 atoms:
K (0.1257, 0.1224, 0.2814)
K (0.1257, 0.3776, 0.7814)
K (0.2901, 0.7256, 0.1522)
K (0.2901, 0.7744, 0.6522)
K (0.7099, 0.2256, 0.3478)
K (0.7099, 0.2744, 0.8478)
K (0.8743, 0.6224, 0.2186)
K (0.8743, 0.8776, 0.7186)
P (0.2554, 0.1328, 0.0374)
P (0.2554, 0.3672, 0.5374)
P (0.3207, 0.7144, 0.9229)
P (0.3207, 0.7856, 0.4229)
P (0.6793, 0.2144, 0.5771)
P (0.6793, 0.2856, 0.0771)
P (0.7446, 0.6328, 0.4626)
P (0.7446, 0.8672, 0.9626)
H (0.0000, 0.0000, 0.0000)
H (0.0000, 0.5000, 0.5000)
H (0.0540, 0.1018, 0.6311)
H (0.0540, 0.3982, 0.1311)
H (0.2298, 0.1266, 0.6333)
H (0.2298, 0.3734, 0.1333)
H (0.4885, 0.1283, 0.6009)
H (0.4885, 0.3717, 0.1009)
H (0.5115, 0.6283, 0.8991)
H (0.5115, 0.8717, 0.3991)
H (0.7702, 0.6266, 0.8667)
H (0.7702, 0.8734, 0.3667)
H (0.9460, 0.6018, 0.8689)
H (0.9460, 0.8982, 0.3689)
Ru (0.3939, 0.0362, 0.8932)
Ru (0.3939, 0.4638, 0.3932)
Ru (0.6061, 0.5362, 0.6068)
Ru (0.6061, 0.9638, 0.1068)
O (0.0827, 0.1118, 0.0319)
O (0.0827, 0.3882, 0.5319)
O (0.1584, 0.6525, 0.9108)
O (0.1584, 0.8475, 0.4108)
O (0.1832, 0.0673, 0.6685)
O (0.1832, 0.4327, 0.1685)
O (0.1893, 0.1038, 0.9019)
O (0.1893, 0.3962, 0.4019)
O (0.2573, 0.6576, 0.3307)
O (0.2573, 0.8424, 0.8307)
O (0.3246, 0.2132, 0.5817)
O (0.3246, 0.2868, 0.0817)
O (0.3894, 0.5934, 0.8797)
O (0.3894, 0.9066, 0.3797)
O (0.4167, 0.0212, 0.1319)
O (0.4167, 0.4788, 0.6319)
O (0.4958, 0.7397, 0.5627)
O (0.4958, 0.7603, 0.0627)
O (0.5042, 0.2397, 0.9373)
O (0.5042, 0.2603, 0.4373)
O (0.5833, 0.5212, 0.3681)
O (0.5833, 0.9788, 0.8681)
O (0.6106, 0.0934, 0.6203)
O (0.6106, 0.4066, 0.1203)
O (0.6754, 0.7132, 0.9183)
O (0.6754, 0.7868, 0.4183)
O (0.7427, 0.1576, 0.1693)
O (0.7427, 0.3424, 0.6693)
O (0.8107, 0.6038, 0.5981)
O (0.8107, 0.8962, 0.0981)
O (0.8168, 0.5673, 0.8315)
O (0.8168, 0.9327, 0.3315)
O (0.8416, 0.1525, 0.5892)
O (0.8416, 0.3475, 0.0892)
O (0.9173, 0.6118, 0.4681)
O (0.9173, 0.8882, 0.9681)

Values from the calculation:
Corrected total energy (MP2020 scheme)   -6.575 eV per atom
SG   P2_1/c
Total magnetization   3.000 μB/f.u.